# Ca4Bi2Br4O3 | the Materials Project | PBE | relaxed
data_Ca4Bi2Br4O3
_chemical_formula_sum 'Ca4 Bi2 Br4 O3'
_cell_length_a 4.0648
_cell_length_b 4.0648
_cell_length_c 32.9149
_cell_angle_alpha 90.00
_cell_angle_beta 90.00
_cell_angle_gamma 90.00
_symmetry_space_group_name_H-M 'P 4/m m m'
_symmetry_Int_Tables_number 123
_symmetry_space_group_name_Hall '-P 4 2'
loop_
_atom_site_label
_atom_site_fract_x
_atom_site_fract_y
_atom_site_fract_z
Ca1 0.0000 0.0000 0.1356
Ca2 0.0000 0.0000 0.2583
Bi1 0.0000 0.0000 0.4362
Br1 0.0000 0.0000 0.0570
Br2 0.0000 0.0000 0.3411
O1 0.0000 0.0000 0.1977
O2 0.0000 0.0000 0.5000
# calculated density: 2.888 g/cm³
# uncorrected energy: -3.787 eV per atom
# ΔH_f (0 K): -1.08 eV/atom